Below is a relaxed structure of Ba3Dy2P4S16, with properties calculated at the PBE level.

Summary:
Its total magnetization is 0.0 Bohr magnetons per cell. The value obtained for the calculated volume is 25.87 Å³/atom. Its energy relative to the elements is -1.49 eV per atom. Its space-group type is Pbcn, No. 60.

Unit cell a=10.4225 b=12.7639 c=19.4465 alpha=90.00 beta=90.00 gamma=90.00
Fractional coordinates of all 100 atoms:
S  0.9955  0.5144  0.3331
S  0.6115  0.5987  0.0168
S  0.3799  0.4145  0.4674
S  0.2088  0.8867  0.1912
S  0.3205  0.6695  0.0680
S  0.1145  0.1057  0.8503
S  0.0693  0.1120  0.1470
S  0.8855  0.6057  0.8503
S  0.8885  0.0987  0.4832
S  0.1201  0.5855  0.9674
S  0.6795  0.3305  0.9320
S  0.5642  0.7301  0.8490
S  0.7912  0.1133  0.8088
S  0.0045  0.0144  0.3331
S  0.6201  0.5855  0.5326
S  0.0642  0.7699  0.3490
S  0.8885  0.4013  0.5168
S  0.3799  0.0855  0.5326
S  0.2088  0.6133  0.8088
S  0.2912  0.1133  0.6912
S  0.1145  0.3943  0.1497
S  0.8799  0.0855  0.9674
S  0.1115  0.9013  0.5168
S  0.3855  0.8943  0.3503
S  0.5642  0.7699  0.1510
S  0.8799  0.4145  0.0326
S  0.3205  0.8305  0.9320
S  0.8205  0.8305  0.5680
S  0.9307  0.8880  0.8530
S  0.9358  0.2699  0.3490
S  0.2912  0.3867  0.3088
S  0.0642  0.7301  0.6510
S  0.8855  0.8943  0.1497
S  0.5045  0.4856  0.8331
S  0.9307  0.6120  0.1470
S  0.1115  0.5987  0.4832
S  0.4955  0.5144  0.1669
S  0.1795  0.3305  0.5680
S  0.6115  0.9013  0.9832
S  0.9955  0.9856  0.6669
S  0.3855  0.6057  0.6497
S  0.4307  0.8880  0.6470
S  0.5693  0.3880  0.6470
S  0.0045  0.4856  0.6669
S  0.4307  0.6120  0.3530
S  0.6145  0.3943  0.3503
S  0.9358  0.2301  0.6510
S  0.7088  0.6133  0.6912
S  0.3885  0.4013  0.9832
S  0.1201  0.9145  0.0326
S  0.6145  0.1057  0.6497
S  0.5693  0.1120  0.3530
S  0.7088  0.8867  0.3088
S  0.6201  0.9145  0.4674
S  0.8205  0.6695  0.4320
S  0.0693  0.3880  0.8530
S  0.5045  0.0144  0.1669
S  0.7912  0.3867  0.1912
S  0.6795  0.1695  0.0680
S  0.4955  0.9856  0.8331
S  0.4358  0.2699  0.1510
S  0.1795  0.1695  0.4320
S  0.4358  0.2301  0.8490
S  0.3885  0.0987  0.0168
Ba  0.6169  0.2500  0.5000
Ba  0.2105  0.8918  0.7728
Ba  0.2895  0.1082  0.2728
Ba  0.2105  0.6082  0.2272
Ba  0.7105  0.6082  0.2728
Ba  0.2895  0.3918  0.7272
Ba  0.8831  0.7500  0.0000
Ba  0.3831  0.7500  0.5000
Ba  0.1169  0.2500  0.0000
Ba  0.7895  0.3918  0.7728
Ba  0.7105  0.8918  0.7272
Ba  0.7895  0.1082  0.2272
P  0.0630  0.9515  0.1310
P  0.0630  0.5485  0.8690
P  0.9370  0.4515  0.1310
P  0.5042  0.6398  0.1021
P  0.4958  0.3602  0.8979
P  0.5042  0.8602  0.8979
P  0.5630  0.9515  0.3690
P  0.9370  0.0485  0.8690
P  0.4370  0.4515  0.3690
P  0.9958  0.1398  0.3979
P  0.4958  0.1398  0.1021
P  0.9958  0.3602  0.6021
P  0.5630  0.5485  0.6310
P  0.0042  0.8602  0.6021
P  0.4370  0.0485  0.6310
P  0.0042  0.6398  0.3979
Dy  0.3714  0.6126  0.9265
Dy  0.8714  0.8874  0.4265
Dy  0.6286  0.1126  0.9265
Dy  0.3714  0.8874  0.0735
Dy  0.1286  0.3874  0.4265
Dy  0.6286  0.3874  0.0735
Dy  0.1286  0.1126  0.5735
Dy  0.8714  0.6126  0.5735